# 1
VASP calculation (PBE) on an optimized crystal structure of Er3SbO7.

## Properties
- space group = C222_1 (20)
- ΔH_f (0 K) (eV/atom) = -3.4478
- E_tot (eV/cell) = -171.17

Cell: 6.450 6.450 7.471 Å, 90.00 90.00 109.12°
Positions (direct):
Er 0.000 0.468 0.750
Er 0.000 0.532 0.250
Er 0.532 0.000 0.750
Er 0.468 0.000 0.250
Er 0.515 0.515 0.500
Er 0.485 0.485 0.000
Sb 0.999 0.999 0.500
Sb 0.001 0.001 0.000
O 0.639 0.361 0.750
O 0.361 0.639 0.250
O 0.928 0.072 0.750
O 0.072 0.928 0.250
O 0.920 0.673 0.529
O 0.080 0.327 0.029
O 0.327 0.080 0.971
O 0.673 0.920 0.471
O 0.371 0.629 0.750
O 0.629 0.371 0.250
O 0.938 0.682 0.966
O 0.062 0.318 0.466
O 0.318 0.062 0.534
O 0.682 0.938 0.034

---

# 2
VASP calculation (PBE) on an optimized crystal structure of KTbP2H4O9.

## Properties
- space group = P2_1/c (14)
- total magnetization (μB/f.u.) = 0.0
- ΔH_f (0 K) (eV/atom) = -2.4297
- E_tot (eV/cell) = -439.19

Cell: 10.832 7.714 10.347 Å, 87.99 90.00 90.00°
Positions (direct):
K 0.291 0.741 0.136
K 0.791 0.259 0.364
K 0.709 0.259 0.864
K 0.209 0.741 0.636
Tb 0.376 0.249 0.166
Tb 0.876 0.751 0.334
Tb 0.624 0.751 0.834
Tb 0.124 0.249 0.666
P 0.106 0.401 0.337
P 0.606 0.599 0.163
P 0.894 0.599 0.663
P 0.394 0.401 0.837
P 0.147 0.032 0.368
P 0.647 0.968 0.132
P 0.853 0.968 0.632
P 0.353 0.032 0.868
H 0.178 0.559 0.896
H 0.678 0.441 0.604
H 0.822 0.441 0.104
H 0.322 0.559 0.396
H 0.080 0.707 0.885
H 0.580 0.293 0.615
H 0.920 0.293 0.115
H 0.420 0.707 0.385
H 0.443 0.330 0.444
H 0.943 0.670 0.056
H 0.557 0.670 0.556
H 0.057 0.330 0.944
H 0.529 0.183 0.407
H 0.029 0.817 0.093
H 0.471 0.817 0.593
H 0.971 0.183 0.907
O 0.141 0.422 0.478
O 0.641 0.578 0.022
O 0.859 0.578 0.522
O 0.359 0.422 0.978
O 0.994 0.504 0.290
O 0.494 0.496 0.210
O 0.006 0.496 0.710
O 0.506 0.504 0.790
O 0.220 0.424 0.249
O 0.720 0.576 0.251
O 0.780 0.576 0.751
O 0.280 0.424 0.749
O 0.058 0.199 0.324
O 0.558 0.801 0.176
O 0.942 0.801 0.676
O 0.442 0.199 0.824
O 0.179 0.055 0.510
O 0.679 0.945 0.990
O 0.821 0.945 0.490
O 0.321 0.055 0.010
O 0.066 0.873 0.348
O 0.566 0.127 0.152
O 0.934 0.127 0.652
O 0.434 0.873 0.848
O 0.257 0.038 0.275
O 0.757 0.962 0.225
O 0.743 0.962 0.725
O 0.243 0.038 0.775
O 0.131 0.641 0.947
O 0.631 0.359 0.553
O 0.869 0.359 0.053
O 0.369 0.641 0.447
O 0.443 0.219 0.402
O 0.943 0.781 0.098
O 0.557 0.781 0.598
O 0.057 0.219 0.902

---

# 3
VASP calculation (PBE) on an optimized crystal structure of Mg5Si9.

## Properties
- relative energy among the computed polymorphs (meV per atom) = 47
- space group = P1 (1)
- total magnetization (μB/f.u.) = 0.0
- ΔH_f (0 K) (eV/atom) = 0.1979
- E_tot (eV/cell) = -109.40

Cell: 13.584 6.861 6.053 Å, 73.17 101.60 104.77°
Positions (direct):
Mg 0.690 0.218 0.410
Mg 0.406 0.596 0.763
Mg 0.538 0.368 0.622
Mg 0.401 0.668 0.239
Mg 0.606 0.966 0.961
Mg 0.452 0.136 0.204
Mg 0.124 0.464 0.541
Mg 0.926 0.646 0.173
Mg 0.086 0.983 0.494
Mg 0.759 0.743 0.402
Si 0.134 0.818 0.150
Si 0.886 0.431 0.597
Si 0.330 0.246 0.444
Si 0.686 0.667 0.843
Si 0.255 0.137 0.803
Si 0.822 0.932 0.948
Si 0.212 0.732 0.848
Si 0.828 0.173 0.177
Si 0.244 0.370 0.032
Si 0.575 0.516 0.137
Si 0.924 0.092 0.642
Si 0.076 0.136 0.970
Si 0.283 0.864 0.450
Si 0.744 0.365 0.815
Si 0.021 0.614 0.835
Si 0.011 0.313 0.175
Si 0.574 0.823 0.505
Si 0.404 0.984 0.821

---

- What is the formula in the third record?
  Mg5Si9

---

- Number 2 is which compound?
  KTbP2H4O9

---

- What is the ΔH_f (0 K) in the third record?
  0.1979 eV/atom